# TcOF4 (PBE, optimized geometry)
data_TcOF4
_symmetry_space_group_name_H-M 'P 63/m'
_symmetry_Int_Tables_number 176
_symmetry_space_group_name_Hall '-P 6c'
_cell_length_a 9.3069
_cell_length_b 9.3069
_cell_length_c 8.2890
_cell_angle_alpha 90.00
_cell_angle_beta 90.00
_cell_angle_gamma 120.00
loop_
_atom_site_label
_atom_site_fract_x
_atom_site_fract_y
_atom_site_fract_z
Tc1 0.0662 0.3961 0.2500
O1 0.1373 0.6826 0.7500
F1 0.0940 0.2117 0.2500
F2 0.1223 0.4212 0.0303
F3 0.1468 0.6310 0.2500
# **Raw total energy**: -34.336 eV/f.u.
# **ΔH_f (0 K)**: -2.32 eV per atom